No. 1
K2P2O5F2: relaxed, PBE.

Energy, eV per cell: -136.062
Symmetry: No. 15
Energy of formation, meV per atom: -2798
V, A^3/atom: 16.69
Crystal system: monoclinic

Structure (CIF):
```
data_K2P2O5F2
_cell_length_a 7.5193
_cell_length_b 7.5193
_cell_length_c 7.3551
_cell_angle_alpha 89.40
_cell_angle_beta 89.40
_cell_angle_gamma 61.99
_symmetry_space_group_name_H-M 'P 1'
_symmetry_Int_Tables_number 1
loop_
_symmetry_equiv_pos_as_xyz
'x,y,z'
loop_
_atom_site_label
_atom_site_type_symbol
_atom_site_fract_x
_atom_site_fract_y
_atom_site_fract_z
K1 K 0.2196 0.5001 0.3618
K2 K 0.7804 0.4999 0.6382
K3 K 0.5001 0.2196 0.8618
K4 K 0.4999 0.7804 0.1382
P1 P 0.7018 0.1045 0.3559
P2 P 0.1045 0.7018 0.8559
P3 P 0.2982 0.8955 0.6441
P4 P 0.8955 0.2982 0.1441
O1 O 0.6392 0.2390 0.5182
O2 O 0.3608 0.7610 0.4818
O3 O 0.1099 0.8901 0.7500
O4 O 0.7610 0.3608 0.9818
O5 O 0.2390 0.6392 0.0182
O6 O 0.8829 0.4546 0.2753
O7 O 0.1171 0.5454 0.7247
O8 O 0.5454 0.1171 0.2247
O9 O 0.4546 0.8829 0.7753
O10 O 0.8901 0.1099 0.2500
F1 F 0.8230 0.8756 0.4238
F2 F 0.1770 0.1244 0.5762
F3 F 0.8756 0.8230 0.9238
F4 F 0.1244 0.1770 0.0762
```

---

No. 2
RbZn2HSe2O7: relaxed, PBE.

Energy, eV per cell: -129.044
Symmetry: No. 2
Energy of formation, meV per atom: -1601
V, A^3/atom: 16.38
Crystal system: triclinic

Structure (CIF):
```
data_RbZn2HSe2O7
_cell_length_a 5.0286
_cell_length_b 7.5880
_cell_length_c 12.1140
_cell_angle_alpha 82.16
_cell_angle_beta 78.01
_cell_angle_gamma 70.81
_symmetry_space_group_name_H-M 'P 1'
_symmetry_Int_Tables_number 1
loop_
_symmetry_equiv_pos_as_xyz
'x,y,z'
loop_
_atom_site_label
_atom_site_type_symbol
_atom_site_fract_x
_atom_site_fract_y
_atom_site_fract_z
Rb1 Rb 0.3252 0.6221 0.7089
Rb2 Rb 0.6748 0.3779 0.2911
Zn1 Zn 0.6550 0.7026 0.9245
Zn2 Zn 0.3450 0.2974 0.0755
Zn3 Zn 0.6568 0.9905 0.6428
Zn4 Zn 0.3432 0.0095 0.3572
H1 H 0.4213 0.9806 0.1554
H2 H 0.5787 0.0194 0.8446
Se1 Se 0.9508 0.2592 0.9064
Se2 Se 0.0492 0.7408 0.0936
Se3 Se 0.9435 0.7434 0.4262
Se4 Se 0.0565 0.2566 0.5738
O1 O 0.2434 0.7034 0.9597
O2 O 0.7566 0.2966 0.0403
O3 O 0.8499 0.4798 0.8361
O4 O 0.1501 0.5202 0.1639
O5 O 0.7095 0.7628 0.0705
O6 O 0.2905 0.2372 0.9295
O7 O 0.7512 0.9618 0.3772
O8 O 0.2488 0.0382 0.6228
O9 O 0.7131 0.2390 0.6020
O10 O 0.2869 0.7610 0.3980
O11 O 0.8520 0.7499 0.5721
O12 O 0.1480 0.2501 0.4279
O13 O 0.6685 0.9055 0.8038
O14 O 0.3315 0.0945 0.1962
```

---

No. 3
Hf3TePb4O13: relaxed, PBE.

Energy, eV per cell: -158.331
Symmetry: No. 160
Energy of formation, meV per atom: -2623
V, A^3/atom: 14.97
Crystal system: trigonal

Structure (CIF):
```
data_Hf3TePb4O13
_cell_length_a 7.6271
_cell_length_b 7.6271
_cell_length_c 7.6271
_cell_angle_alpha 60.10
_cell_angle_beta 60.10
_cell_angle_gamma 60.10
_symmetry_space_group_name_H-M 'P 1'
_symmetry_Int_Tables_number 1
loop_
_symmetry_equiv_pos_as_xyz
'x,y,z'
loop_
_atom_site_label
_atom_site_type_symbol
_atom_site_fract_x
_atom_site_fract_y
_atom_site_fract_z
Hf1 Hf 0.9990 0.5006 0.5006
Hf2 Hf 0.5006 0.5006 0.9990
Hf3 Hf 0.5006 0.9990 0.5006
Te1 Te 0.5004 0.5004 0.5004
Pb1 Pb 0.5002 0.0008 0.0008
Pb2 Pb 0.0008 0.0008 0.5002
Pb3 Pb 0.0008 0.5002 0.0008
Pb4 Pb 0.9994 0.9994 0.9994
O1 O 0.1719 0.5689 0.1719
O2 O 0.5662 0.1967 0.5662
O3 O 0.1719 0.1719 0.5689
O4 O 0.5662 0.5662 0.1967
O5 O 0.5689 0.1719 0.1719
O6 O 0.1967 0.5662 0.5662
O7 O 0.8246 0.4363 0.8246
O8 O 0.4358 0.8024 0.4358
O9 O 0.8246 0.8246 0.4363
O10 O 0.4358 0.4358 0.8024
O11 O 0.4363 0.8246 0.8246
O12 O 0.8024 0.4358 0.4358
O13 O 0.8720 0.8720 0.8720
```

---

No. 4
V2FeSe4: relaxed, PBE.

Energy, eV per cell: -44.431
Symmetry: No. 8
Energy of formation, meV per atom: -814
V, A^3/atom: 18.18
Crystal system: monoclinic
Polymorph energy (0 for the lowest one), eV per formula unit: 0.150

Structure (CIF):
```
data_V2FeSe4
_cell_length_a 6.8849
_cell_length_b 6.8849
_cell_length_c 6.2769
_cell_angle_alpha 63.57
_cell_angle_beta 63.57
_cell_angle_gamma 28.80
_symmetry_space_group_name_H-M 'P 1'
_symmetry_Int_Tables_number 1
loop_
_symmetry_equiv_pos_as_xyz
'x,y,z'
loop_
_atom_site_label
_atom_site_type_symbol
_atom_site_fract_x
_atom_site_fract_y
_atom_site_fract_z
V1 V 0.9995 0.9995 0.9973
V2 V 0.2502 0.2502 0.6855
Fe1 Fe 0.7483 0.7483 0.3204
Se1 Se 0.8900 0.8900 0.4539
Se2 Se 0.1108 0.1108 0.5438
Se3 Se 0.6394 0.6394 0.0212
Se4 Se 0.3619 0.3619 0.9780
```

---

No. 5
TaN: relaxed, PBE.

Energy, eV per cell: -21.555
Symmetry: No. 216
Energy of formation, meV per atom: -861
V, A^3/atom: 13.50
Crystal system: cubic

Structure (CIF):
```
data_TaN
_cell_length_a 3.3674
_cell_length_b 3.3674
_cell_length_c 3.3674
_cell_angle_alpha 60.00
_cell_angle_beta 60.00
_cell_angle_gamma 60.00
_symmetry_space_group_name_H-M 'P 1'
_symmetry_Int_Tables_number 1
loop_
_symmetry_equiv_pos_as_xyz
'x,y,z'
loop_
_atom_site_label
_atom_site_type_symbol
_atom_site_fract_x
_atom_site_fract_y
_atom_site_fract_z
Ta1 Ta 0.0000 0.0000 0.0000
N1 N 0.2500 0.2500 0.2500
```

---

No. 6
Ho3Co2Ge4: relaxed, PBE.

Energy, eV per cell: -52.909
Symmetry: No. 12
Energy of formation, meV per atom: -717
V, A^3/atom: 18.54
Crystal system: monoclinic

Structure (CIF):
```
data_Ho3Co2Ge4
_cell_length_a 5.6743
_cell_length_b 5.6743
_cell_length_c 7.9763
_cell_angle_alpha 73.65
_cell_angle_beta 73.65
_cell_angle_gamma 42.97
_symmetry_space_group_name_H-M 'P 1'
_symmetry_Int_Tables_number 1
loop_
_symmetry_equiv_pos_as_xyz
'x,y,z'
loop_
_atom_site_label
_atom_site_type_symbol
_atom_site_fract_x
_atom_site_fract_y
_atom_site_fract_z
Ho1 Ho 0.3764 0.3764 0.6923
Ho2 Ho 0.6236 0.6236 0.3077
Ho3 Ho 0.0000 0.0000 0.0000
Co1 Co 0.3100 0.3100 0.3700
Co2 Co 0.6900 0.6900 0.6300
Ge1 Ge 0.0977 0.0977 0.5995
Ge2 Ge 0.9023 0.9023 0.4005
Ge3 Ge 0.7098 0.7098 0.9197
Ge4 Ge 0.2902 0.2902 0.0803
```

---

No. 7
CrN2: relaxed, PBE.

Energy, eV per cell: -827.317
Symmetry: No. 71
Energy of formation, meV per atom: -83
V, A^3/atom: 25.45
Crystal system: orthorhombic

Structure (CIF):
```
data_CrN2
_cell_length_a 9.1700
_cell_length_b 17.1165
_cell_length_c 17.1165
_cell_angle_alpha 75.08
_cell_angle_beta 74.46
_cell_angle_gamma 74.46
_symmetry_space_group_name_H-M 'P 1'
_symmetry_Int_Tables_number 1
loop_
_symmetry_equiv_pos_as_xyz
'x,y,z'
loop_
_atom_site_label
_atom_site_type_symbol
_atom_site_fract_x
_atom_site_fract_y
_atom_site_fract_z
Cr1 Cr 0.9302 0.8823 0.8823
Cr2 Cr 0.0698 0.1177 0.1177
Cr3 Cr 0.6948 0.1177 0.1177
Cr4 Cr 0.3052 0.8823 0.8823
Cr5 Cr 0.9296 0.7562 0.7562
Cr6 Cr 0.0704 0.2438 0.2438
Cr7 Cr 0.4420 0.2438 0.2438
Cr8 Cr 0.5580 0.7562 0.7562
Cr9 Cr 0.0856 0.5859 0.8704
Cr10 Cr 0.9144 0.1296 0.4141
Cr11 Cr 0.5419 0.4141 0.1296
Cr12 Cr 0.4581 0.8704 0.5859
Cr13 Cr 0.9144 0.4141 0.1296
Cr14 Cr 0.0856 0.8704 0.5859
Cr15 Cr 0.4581 0.5859 0.8704
Cr16 Cr 0.5419 0.1296 0.4141
Cr17 Cr 0.9775 0.6045 0.0675
Cr18 Cr 0.0225 0.9325 0.3955
Cr19 Cr 0.6496 0.3955 0.9325
Cr20 Cr 0.3504 0.0675 0.6045
Cr21 Cr 0.0225 0.3955 0.9325
Cr22 Cr 0.9775 0.0675 0.6045
Cr23 Cr 0.3504 0.6045 0.0675
Cr24 Cr 0.6496 0.9325 0.3955
Cr25 Cr 0.7525 0.7930 0.0770
Cr26 Cr 0.2475 0.9230 0.2070
Cr27 Cr 0.6226 0.2070 0.9230
Cr28 Cr 0.3774 0.0770 0.7930
Cr29 Cr 0.2475 0.2070 0.9230
Cr30 Cr 0.7525 0.0770 0.7930
Cr31 Cr 0.3774 0.7930 0.0770
Cr32 Cr 0.6226 0.9230 0.2070
N1 N 0.1099 0.8901 0.8901
N2 N 0.8901 0.1099 0.1099
N3 N 0.9571 0.8163 0.8163
N4 N 0.0429 0.1837 0.1837
N5 N 0.5896 0.1837 0.1837
N6 N 0.4104 0.8163 0.8163
N7 N 0.8305 0.8431 0.9794
N8 N 0.1695 0.0206 0.1569
N9 N 0.6530 0.1569 0.0206
N10 N 0.3470 0.9794 0.8431
N11 N 0.1695 0.1569 0.0206
N12 N 0.8305 0.9794 0.8431
N13 N 0.3470 0.8431 0.9794
N14 N 0.6530 0.0206 0.1569
N15 N 0.7337 0.7663 0.7663
N16 N 0.2663 0.2337 0.2337
N17 N 0.0085 0.6530 0.7894
N18 N 0.9915 0.2106 0.3470
N19 N 0.4510 0.3470 0.2106
N20 N 0.5490 0.7894 0.6530
N21 N 0.9915 0.3470 0.2106
N22 N 0.0085 0.7894 0.6530
N23 N 0.5490 0.6530 0.7894
N24 N 0.4510 0.2106 0.3470
N25 N 0.2736 0.5944 0.8585
N26 N 0.7264 0.1415 0.4056
N27 N 0.7264 0.4056 0.1415
N28 N 0.2736 0.8585 0.5944
N29 N 0.9830 0.6097 0.9648
N30 N 0.0170 0.0352 0.3903
N31 N 0.5575 0.3903 0.0352
N32 N 0.4425 0.9648 0.6097
N33 N 0.0170 0.3903 0.0352
N34 N 0.9830 0.9648 0.6097
N35 N 0.4425 0.6097 0.9648
N36 N 0.5575 0.0352 0.3903
N37 N 0.9136 0.5163 0.1248
N38 N 0.0864 0.8752 0.4837
N39 N 0.5547 0.4837 0.8752
N40 N 0.4453 0.1248 0.5163
N41 N 0.0864 0.4837 0.8752
N42 N 0.9136 0.1248 0.5163
N43 N 0.4453 0.5163 0.1248
N44 N 0.5547 0.8752 0.4837
N45 N 0.1641 0.5951 0.0767
N46 N 0.8359 0.9233 0.4049
N47 N 0.8359 0.4049 0.9233
N48 N 0.1641 0.0767 0.5951
N49 N 0.8661 0.6950 0.0984
N50 N 0.1339 0.9016 0.3050
N51 N 0.6595 0.3050 0.9016
N52 N 0.3405 0.0984 0.6950
N53 N 0.1339 0.3050 0.9016
N54 N 0.8661 0.0984 0.6950
N55 N 0.3405 0.6950 0.0984
N56 N 0.6595 0.9016 0.3050
N57 N 0.5691 0.7843 0.0776
N58 N 0.4309 0.9224 0.2157
N59 N 0.4309 0.2157 0.9224
N60 N 0.5691 0.0776 0.7843
N61 N 0.7390 0.8517 0.1483
N62 N 0.2610 0.8517 0.1483
N63 N 0.7390 0.1483 0.8517
N64 N 0.2610 0.1483 0.8517
```

---

No. 8
CeFe2Ge2: relaxed, PBE.

Energy, eV per cell: -34.371
Symmetry: No. 139
Energy of formation, meV per atom: -450
V, A^3/atom: 16.53
Crystal system: tetragonal

Structure (CIF):
```
data_CeFe2Ge2
_cell_length_a 5.7199
_cell_length_b 5.7199
_cell_length_c 5.7199
_cell_angle_alpha 138.08
_cell_angle_beta 138.08
_cell_angle_gamma 60.79
_symmetry_space_group_name_H-M 'P 1'
_symmetry_Int_Tables_number 1
loop_
_symmetry_equiv_pos_as_xyz
'x,y,z'
loop_
_atom_site_label
_atom_site_type_symbol
_atom_site_fract_x
_atom_site_fract_y
_atom_site_fract_z
Ce1 Ce 0.0000 0.0000 0.0000
Fe1 Fe 0.7500 0.2500 0.5000
Fe2 Fe 0.2500 0.7500 0.5000
Ge1 Ge 0.6352 0.6352 0.0000
Ge2 Ge 0.3648 0.3648 0.0000
```